12
Lattice="6.291 0.000 0.000 0.000 3.703 0.000 0.000 0.000 7.302" Properties=species:S:1:pos:R:3 comment="TaNiAs | Materials Project | PBE-GGA | optimized geometry" space_group=Pnma volume_a3_per_cell=170 e_tot_ev_per_atom=-7.83 pbc="T T T"
Ta 0.122 0.926 1.179
Ta 3.024 2.777 4.830
Ta 3.267 0.926 2.472
Ta 6.169 2.777 6.123
Ni 0.990 0.926 4.180
Ni 2.156 2.777 0.529
Ni 4.135 0.926 6.773
Ni 5.301 2.777 3.122
As 1.346 2.777 2.747
As 1.800 0.926 6.398
As 4.491 2.777 0.904
As 4.945 0.926 4.555



8
Lattice="6.721 0.000 0.000 0.000 3.603 0.000 -2.720 0.000 6.213" Properties=species:S:1:pos:R:3 comment="AgBiO2 | Materials Project | PBE-GGA | optimized geometry" space_group=P2_1/m volume_a3_per_cell=150 energy_mp2020_ev_per_atom=-5.305 e_tot_ev_per_atom=-4.96 pbc="T T T"
Ag -0.364 0.901 1.131
Ag 4.365 2.702 5.082
Bi 1.036 0.901 4.640
Bi 2.965 2.702 1.573
O -0.341 2.702 5.667
O 1.585 0.901 1.897
O 2.416 2.702 4.316
O 4.341 0.901 0.546



35
Lattice="0.000 8.308 8.308 8.308 0.000 8.308 8.308 8.308 0.000" Properties=species:S:1:pos:R:3 comment="K8Zr6BeBr20 | Materials Project | PBE-GGA | optimized geometry" space_group=Fm-3m volume_a3_per_cell=1147 energy_mp2020_ev_per_atom=-4.594 e_tot_ev_per_atom=-4.29 pbc="T T T"
K 2.335 2.335 2.335
K 5.974 5.974 2.335
K 5.974 2.335 5.974
K 14.282 10.643 10.643
K 2.335 5.974 5.974
K 10.643 14.282 10.643
K 10.643 10.643 14.282
K 14.282 14.282 14.282
Zr 8.308 8.308 5.907
Zr 8.308 5.907 8.308
Zr 10.709 8.308 8.308
Zr 5.907 8.308 8.308
Zr 8.308 10.709 8.308
Zr 8.308 8.308 10.709
Be 8.308 8.308 8.308
Br 8.308 5.574 5.574
Br 11.043 8.308 5.574
Br 11.043 5.574 8.308
Br 8.308 8.308 3.023
Br 8.308 3.023 8.308
Br 13.594 8.308 8.308
Br 4.154 4.154 4.154
Br 5.574 8.308 5.574
Br 8.308 11.043 5.574
Br 5.574 5.574 8.308
Br 11.043 11.043 8.308
Br 8.308 5.574 11.043
Br 11.043 8.308 11.043
Br 12.463 12.463 12.463
Br 3.023 8.308 8.308
Br 8.308 13.594 8.308
Br 8.308 8.308 13.594
Br 5.574 11.043 8.308
Br 5.574 8.308 11.043
Br 8.308 11.043 11.043



3
Lattice="3.869 0.000 0.000 -1.934 3.350 0.000 0.000 0.000 2.053" Properties=species:S:1:pos:R:3 comment="Li2B | Materials Project | PBE-GGA | optimized geometry" space_group=P-3m1 volume_a3_per_cell=27 e_tot_ev_per_atom=-3.13 pbc="T T T"
Li 0.000 2.234 1.014
Li 1.934 1.117 1.039
B 0.000 0.000 0.000



22
Lattice="5.714 -4.212 0.000 5.714 4.212 0.000 -0.216 0.000 7.755" Properties=species:S:1:pos:R:3 comment="Na2UI4O15 | Materials Project | PBE-GGA | optimized geometry" space_group=C2 volume_a3_per_cell=373 energy_mp2020_ev_per_atom=-5.742 e_tot_ev_per_atom=-5.27 pbc="T T T"
Na 0.000 0.000 0.000
Na 5.714 -0.302 0.000
U 5.606 -0.279 3.877
I 2.643 1.978 6.062
I 3.151 2.058 1.821
I 8.061 2.058 5.934
I 8.569 1.978 1.693
O 4.163 1.468 0.401
O 4.134 1.329 3.224
O 1.662 -0.474 5.913
O 2.114 -0.575 1.616
O 7.048 1.468 7.354
O 4.814 -0.240 5.557
O 7.078 1.329 4.531
O 3.914 -1.890 3.301
O 6.398 -0.240 2.198
O 4.199 -2.097 0.458
O 5.606 -2.440 3.877
O 7.298 -1.890 4.454
O 9.098 -0.575 6.138
O 7.013 -2.097 7.297
O 9.550 -0.474 1.842



28
Lattice="8.292 0.000 0.000 2.473 8.412 0.000 1.012 4.154 7.798" Properties=species:S:1:pos:R:3 comment="BaP2S2O9 | Materials Project | PBE-GGA | optimized geometry" space_group=P-1 volume_a3_per_cell=544 energy_mp2020_ev_per_atom=-6.002 e_tot_ev_per_atom=-5.90 pbc="T T T"
Ba 3.454 5.024 2.875
Ba 8.323 7.541 4.923
P 3.391 9.579 5.530
P 3.198 8.539 2.735
P 8.579 4.027 5.063
P 8.386 2.986 2.268
S 4.551 7.825 1.553
S 4.896 8.620 6.674
S 6.881 3.945 1.124
S 7.226 4.740 6.245
O 2.183 7.553 3.276
O 3.610 11.172 5.703
O 1.506 3.395 1.977
O 3.886 9.330 4.021
O 3.193 5.870 6.861
O 3.895 5.410 5.947
O 5.851 7.962 5.630
O 7.103 10.895 5.232
O 7.057 10.787 6.472
O 4.720 1.778 1.327
O 4.674 1.670 2.566
O 5.926 4.603 2.169
O 7.882 7.156 1.851
O 8.584 6.696 0.937
O 7.891 3.235 3.778
O 10.271 9.171 5.822
O 8.167 1.393 2.095
O 9.594 5.013 4.522



116
Lattice="-6.851 6.851 13.584 6.851 -6.851 13.584 6.851 6.851 -13.584" Properties=species:S:1:pos:R:3 comment="Ho5Co6Sn18 | Materials Project | PBE-GGA | optimized geometry" space_group=I4_1/acd volume_a3_per_cell=2550 e_tot_ev_per_atom=-5.10 pbc="T T T"
Ho 1.872 1.615 -1.552
Ho 1.811 -1.554 5.240
Ho 6.851 3.426 -3.396
Ho 4.979 1.615 1.552
Ho 8.662 -1.554 8.343
Ho 8.662 1.554 5.240
Ho 4.979 -1.615 12.032
Ho 0.000 3.426 3.396
Ho 1.811 1.554 8.343
Ho 1.872 -1.615 15.135
Ho 4.979 8.466 -1.552
Ho 5.040 5.297 5.240
Ho 6.851 3.426 10.188
Ho 1.872 8.466 1.552
Ho -1.811 5.297 8.343
Ho -1.811 8.405 5.240
Ho 1.872 5.236 12.032
Ho 0.000 3.426 16.980
Ho 5.040 8.405 8.343
Ho 4.979 5.236 15.135
Co 6.851 -3.426 6.836
Co 6.841 6.797 -10.190
Co 3.480 -3.435 10.186
Co 3.372 3.435 -3.398
Co 6.841 0.054 3.394
Co 6.851 -3.426 13.539
Co 6.851 3.426 0.045
Co 6.841 -0.054 10.190
Co 10.223 3.416 3.398
Co 3.480 3.435 3.398
Co -0.010 0.054 10.190
Co 6.851 3.426 6.747
Co 0.000 3.426 6.836
Co 6.861 6.797 3.394
Co 3.372 3.416 10.186
Co -3.372 3.435 10.186
Co 0.010 6.905 3.394
Co 0.000 3.426 13.539
Co 0.000 10.277 0.045
Co 0.010 6.797 10.190
Co 3.480 3.416 16.982
Co 3.372 10.287 3.398
Co 0.010 0.054 23.774
Co 0.000 10.277 6.747
Sn 5.624 4.637 -8.980
Sn 4.477 3.362 -5.722
Sn 6.787 1.051 -1.070
Sn 10.277 0.552 0.000
Sn 9.225 3.489 -5.722
Sn 9.213 -1.064 3.396
Sn 4.466 -1.041 3.396
Sn 5.640 -4.653 11.396
Sn 0.064 1.051 1.070
Sn 6.737 -1.071 5.728
Sn 5.624 -2.214 8.980
Sn 11.317 1.041 3.396
Sn 2.362 1.064 3.396
Sn 9.206 3.312 -1.064
Sn 6.737 5.780 -5.728
Sn 4.496 3.539 -1.064
Sn 8.062 2.198 2.188
Sn 3.977 6.851 -6.792
Sn 3.977 0.000 6.792
Sn 1.211 4.653 -2.188
Sn 4.496 -3.539 14.647
Sn -0.114 1.071 5.728
Sn 2.355 3.539 1.064
Sn 2.362 -1.064 10.188
Sn 4.466 5.810 -3.396
Sn 5.624 2.214 4.604
Sn 6.737 1.071 7.856
Sn 6.915 5.800 -1.070
Sn 5.640 4.653 2.188
Sn 4.466 1.041 10.188
Sn 2.362 7.915 -3.396
Sn 2.374 3.362 5.722
Sn 3.426 6.299 0.000
Sn -0.064 5.800 1.070
Sn -2.374 3.489 5.722
Sn -1.227 2.214 8.980
Sn 8.078 4.637 4.604
Sn 9.225 3.362 7.862
Sn 6.915 1.051 12.514
Sn 3.426 0.552 13.584
Sn 4.477 3.489 7.862
Sn 4.489 -1.064 16.980
Sn 2.385 5.810 3.396
Sn 1.211 2.198 11.396
Sn -0.064 1.051 14.654
Sn 0.114 5.780 5.728
Sn 1.227 4.637 8.980
Sn 2.385 1.041 16.980
Sn 4.489 7.915 3.396
Sn 4.496 3.312 12.520
Sn 6.965 5.780 7.856
Sn 2.355 10.390 -1.064
Sn 5.640 2.198 15.771
Sn 2.874 6.851 6.792
Sn 2.874 0.000 20.376
Sn -1.211 4.653 11.396
Sn 2.355 3.312 14.647
Sn 0.114 1.071 19.312
Sn -2.355 3.539 14.647
Sn 4.489 5.787 10.188
Sn -4.466 5.810 10.188
Sn 1.227 9.065 4.604
Sn 0.114 7.922 7.856
Sn 6.787 5.800 12.514
Sn 1.211 11.504 2.188
Sn 2.385 7.892 10.188
Sn -2.362 7.915 10.188
Sn -2.374 3.362 19.306
Sn -3.426 6.299 13.584
Sn 0.064 5.800 14.654
Sn 2.374 3.489 19.306
Sn 1.227 2.214 22.563



29
Lattice="0.000 6.163 6.163 6.163 0.000 6.163 6.163 6.163 0.000" Properties=species:S:1:pos:R:3 comment="Ce3P6Pd20 | Materials Project | PBE-GGA | optimized geometry" space_group=Fm-3m volume_a3_per_cell=468 e_tot_ev_per_atom=-5.98 pbc="T T T"
Ce 0.000 0.000 0.000
Ce 3.082 3.082 3.082
Ce 9.245 9.245 9.245
P 6.163 6.163 3.259
P 6.163 3.259 6.163
P 9.067 6.163 6.163
P 3.259 6.163 6.163
P 6.163 9.067 6.163
P 6.163 6.163 9.067
Pd 2.129 2.129 0.000
Pd 4.034 4.034 0.000
Pd 2.129 0.000 2.129
Pd 6.163 4.034 2.129
Pd 4.034 0.000 4.034
Pd 6.163 2.129 4.034
Pd 7.596 4.730 4.730
Pd 0.000 2.129 2.129
Pd 4.034 6.163 2.129
Pd 4.034 2.129 6.163
Pd 4.730 4.730 4.730
Pd 7.596 7.596 4.730
Pd 7.596 4.730 7.596
Pd 4.730 7.596 4.730
Pd 4.730 4.730 7.596
Pd 7.596 7.596 7.596
Pd 0.000 4.034 4.034
Pd 2.129 6.163 4.034
Pd 2.129 4.034 6.163
Pd 4.730 7.596 7.596